The following is a DFT calculation (PBE-GGA) of an optimized crystal structure of Tb3In12Pt4.

Summary:
As for the space-group type: P-3m1, No. 164. The formation energy is -0.55 eV/atom. The value obtained for the total energy is -245.226 eV/cell. The magnetic moment is 0.2 μB/cell.

Cell lengths 10.0515, 10.0515, 15.4561 Å; angles 90.00, 90.00, 120.00 degrees
Atoms (fractional coordinates):
1 In 0.1186 0.2373 0.6786
2 Pt 0.5054 0.4946 0.8890
3 In 0.5569 0.7784 0.8325
4 Tb 0.6667 0.3333 0.9864
5 Pt 0.8275 0.6550 0.6386
6 In 0.2216 0.7784 0.8325
7 In 0.6667 0.3333 0.6159
8 In 0.0000 0.6502 0.5000
9 Tb 0.4926 0.9852 0.6947
10 Pt 0.6550 0.8275 0.3614
11 Tb 0.3333 0.6667 0.0136
12 Pt 0.1725 0.8275 0.3614
13 In 0.7131 0.7131 0.0000
14 Tb 0.0148 0.5074 0.6947
15 In 0.8814 0.7627 0.3214
16 In 0.0000 0.2869 0.0000
17 In 0.6502 0.6502 0.5000
18 Pt 0.9892 0.4946 0.8890
19 In 0.2122 0.7878 0.1865
20 In 0.3333 0.6667 0.3841
21 Pt 0.4946 0.5054 0.1110
22 In 0.7627 0.8814 0.6786
23 Pt 0.5054 0.0108 0.8890
24 In 0.3498 0.3498 0.5000
25 In 0.7784 0.5569 0.1675
26 In 0.7784 0.2216 0.1675
27 Pt 0.8275 0.1725 0.6386
28 In 0.7878 0.2122 0.8135
29 In 0.0000 0.7131 0.0000
30 In 0.4245 0.2122 0.8135
31 In 0.7878 0.5755 0.8135
32 Pt 0.3450 0.1725 0.6386
33 In 0.6502 0.0000 0.5000
34 In 0.6667 0.3333 0.4193
35 In 0.2373 0.1186 0.3214
36 In 0.0000 0.0000 0.8726
37 Pt 0.1725 0.3450 0.3614
38 In 0.7131 0.0000 0.0000
39 In 0.2216 0.4431 0.8325
40 In 0.0000 0.0000 0.1274
41 In 0.2869 0.0000 0.0000
42 In 0.0000 0.3498 0.5000
43 Tb 0.9852 0.4926 0.3053
44 In 0.1186 0.8814 0.6786
45 In 0.3333 0.6667 0.5807
46 In 0.2122 0.4245 0.1865
47 Tb 0.5074 0.4926 0.3053
48 Tb 0.5074 0.0148 0.3053
49 In 0.4431 0.2216 0.1675
50 In 0.3498 0.0000 0.5000
51 Tb 0.4926 0.5074 0.6947
52 Pt 0.4946 0.9892 0.1110
53 Tb 0.0000 0.0000 0.5000
54 Pt 0.0108 0.5054 0.1110
55 In 0.2869 0.2869 0.0000
56 In 0.5755 0.7878 0.1865
57 In 0.8814 0.1186 0.3214